# PmMg3

PmMg3 after structural relaxation (r²SCAN, the Materials Project).

Calculated values
As for the symmetry: I4/mmm, No. 139.

```
4
Lattice="-2.608 2.608 3.673 2.608 -2.608 3.673 2.608 2.608 -3.673" Properties=species:S:1:pos:R:3 pbc="T T T"
Pm 0.000 0.000 0.000
Mg 2.608 0.000 1.836
Mg 0.000 0.000 3.673
Mg 0.000 2.608 1.836
```

---

# Pm2Mg

Pm2Mg after structural relaxation (r²SCAN, the Materials Project).

Calculated values
As for the symmetry: C2/m, No. 12. The value obtained for the distance to the lowest polymorph of the same formula is 0.03 eV per formula unit.

```
6
Lattice="6.679 -1.905 0.000 6.679 1.905 0.000 -2.180 0.000 7.327" Properties=species:S:1:pos:R:3 pbc="T T T"
Pm 1.869 0.000 0.510
Pm 0.862 0.000 4.295
Pm 10.315 0.000 3.032
Pm 9.309 0.000 6.817
Mg 5.012 0.000 5.395
Mg 6.166 0.000 1.932
```

---

# Pm2Mg

Pm2Mg after structural relaxation (r²SCAN, the Materials Project).

Calculated values
As for the symmetry: Cmcm, No. 63. The value obtained for the distance to the lowest polymorph of the same formula is 0.00 eV per formula unit.

```
6
Lattice="1.918 -8.722 0.000 1.918 8.722 0.000 0.000 0.000 5.570" Properties=species:S:1:pos:R:3 pbc="T T T"
Pm 1.918 7.198 4.177
Pm 1.918 4.753 1.392
Pm 1.918 -4.753 4.177
Pm 1.918 -7.198 1.392
Mg 1.918 1.202 4.177
Mg 1.918 -1.202 1.392
```

---

no.,energy relative to the elements (eV per formula unit),energy (eV per atom)
1,-0.53,-10.644
2,-0.20,-21.149
3,-0.23,-21.160